Material: YH3O3
Method: DFT, PBE
State: relaxed

E above lowest polymorph: 1 meV/atom
formation energy from the elements: -215 kJ/mol of atoms

Cell: 6.382 6.382 3.518 Å, 90.00 90.00 120.00°
Positions (direct):
Y 0.333 0.667 0.000
Y 0.667 0.333 0.500
H 0.139 0.281 0.538
H 0.142 0.861 0.538
H 0.281 0.142 0.038
H 0.719 0.858 0.538
H 0.858 0.139 0.038
H 0.861 0.719 0.038
O 0.086 0.691 0.495
O 0.309 0.396 0.495
O 0.396 0.086 0.995
O 0.604 0.914 0.495
O 0.691 0.604 0.995
O 0.914 0.309 0.995